[1]
## CsSnI3 (PBE)

Data for CsSnI3 after structural relaxation.

Cell lengths 8.8177, 8.8177, 6.3081 Å; angles 90.00, 90.00, 90.00 degrees
Closest atoms and distances in Å follow each position.
Space group P4/mbm (No. 127)
Inequivalent atoms, fractional coordinates:
Cs  0.0000  0.5000  0.0000  8 I 4.10-4.41
Sn  0.0000  0.0000  0.5000  6 I 3.15-3.16
I  0.0000  0.0000  0.0000  2 Sn 3.15
I  0.2098  0.2902  0.5000  2 Sn 3.16

=====

[2]
## CsSnI3 (PBE)

Data for CsSnI3 after structural relaxation.

Cell lengths 10.7650, 4.8323, 18.1473 Å; angles 90.00, 90.00, 90.00 degrees
Closest atoms and distances in Å follow each position.
Space group Pnma (No. 62)
Inequivalent atoms, fractional coordinates:
Cs  0.0835  0.2500  0.1702  9 I 3.98-4.33
Sn  0.1581  0.7500  0.4390  5 I 3.04-3.26
I  0.0261  0.7500  0.6119  3 Sn 3.26-3.45
I  0.1685  0.7500  0.9989  2 Sn 3.24
I  0.2068  0.2500  0.7919  1 Sn 3.04

=====

[3]
## CsSnI3 (PBE)

Data for CsSnI3 after structural relaxation.

Cell lengths 8.7332, 12.6631, 8.8722 Å; angles 90.00, 90.00, 90.00 degrees
Closest atoms and distances in Å follow each position.
Space group Pnma (No. 62)
Inequivalent atoms, fractional coordinates:
Cs  0.0047  0.2500  0.0233  7 I 4.05-4.43
Sn  0.0000  0.0000  0.5000  6 I 3.16-3.17
I  0.0026  0.7500  0.5200  2 Sn 3.17
I  0.2031  0.0076  0.7963  2 Sn 3.16-3.17

=====

[4]
## CsSnI3 (PBE)

Data for CsSnI3 after structural relaxation.

Cell lengths 6.2862, 6.2862, 6.2862 Å; angles 90.00, 90.00, 90.00 degrees
Closest atoms and distances in Å follow each position.
Space group Pm-3m (No. 221)
Inequivalent atoms, fractional coordinates:
Cs  0.0000  0.0000  0.0000  12 I 4.45
Sn  0.5000  0.5000  0.5000  6 I 3.14
I  0.0000  0.5000  0.5000  2 Sn 3.14

=====

| no. | calculated volume (Å³/cell) | E_form (meV/atom) |
| --- | --- | --- |
| 1 | 490.5 | -1172 |
| 2 | 944.0 | -1181 |
| 3 | 981.2 | -1173 |
| 4 | 248.4 | -1184 |